No. 1
Material: V6O11F
Method: DFT, PBE with a Hubbard U
State: optimized geometry

Cell: 10.3309 10.3309 2.9381 Å, 90.00 90.00 142.69°
Fractional coordinates of all 18 atoms:
V 0.9987 0.6654 0.0000
V 0.5002 0.1664 0.5000
V 0.3180 0.3180 0.0000
O 0.2709 0.4012 0.5000
O 0.3029 0.9712 0.0000
V 0.6654 0.9987 0.0000
V 0.1664 0.5002 0.5000
O 0.6965 0.3629 0.0000
O 0.9308 0.7304 0.5000
O 0.4012 0.2709 0.5000
O 0.0656 0.6013 0.5000
F 0.6324 0.6324 0.0000
V 0.8495 0.8495 0.5000
O 0.7304 0.9308 0.5000
O 0.9712 0.3029 0.0000
O 0.3629 0.6965 0.0000
O 0.0355 0.0355 0.0000
O 0.6013 0.0656 0.5000

Properties
Formation energy: -45.2 eV per formula unit

No. 2
Material: V2OF5
Method: DFT, PBE with a Hubbard U
State: optimized geometry

Cell: 5.2646 5.4344 12.9522 Å, 91.18 90.74 118.89°
Fractional coordinates of all 24 atoms:
F 0.5985 0.7984 0.0506
V 0.9997 0.9883 0.9991
F 0.2671 0.3455 0.5816
O 0.8994 0.6524 0.9120
F 0.4177 0.0049 0.7564
F 0.9360 0.4652 0.7186
F 0.7339 0.6648 0.4195
F 0.8033 0.2010 0.4472
V 0.0033 0.9997 0.5019
F 0.0722 0.3301 0.0819
F 0.5987 0.9990 0.2463
F 0.0627 0.5372 0.2801
V 0.3494 0.6455 0.1695
V 0.6861 0.3618 0.8387
F 0.1396 0.8492 0.1147
F 0.4601 0.5248 0.7748
F 0.7317 0.8726 0.6176
F 0.8696 0.1392 0.8838
V 0.3258 0.6868 0.6594
O 0.5152 0.4739 0.2200
F 0.3971 0.1909 0.9476
V 0.6636 0.3330 0.3305
O 0.2021 0.8112 0.5640
F 0.2671 0.1246 0.3841

Properties
Formation energy: -24.3 eV per formula unit

No. 3
Material: V2OF5
Method: DFT, PBE with a Hubbard U
State: optimized geometry

Cell: 5.2531 7.6093 5.4134 Å, 92.54 90.00 90.00°
Fractional coordinates of all 16 atoms:
F 0.4048 0.7501 0.5101
F 0.9029 0.2508 0.0009
O 0.7003 0.9631 0.2222
V 0.0004 0.5003 0.0005
F 0.7938 0.9485 0.7075
F 0.7974 0.5496 0.3001
F 0.0971 0.7507 0.0009
F 0.5952 0.2501 0.5101
F 0.6992 0.5430 0.7827
F 0.3008 0.0430 0.7827
V 0.5176 0.9947 0.4760
F 0.2026 0.0496 0.3001
O 0.2997 0.4632 0.2222
V 0.4824 0.4947 0.4759
F 0.2062 0.4485 0.7075
V 0.9996 0.0003 0.0005

Properties
Formation energy: -24.3 eV per formula unit